# Ho5SbPd2

Crystalline Ho5SbPd2 at its relaxed geometry (PBE, the Materials Project database).

- crystal system = tetragonal
- volume (A^3/atom) = 25.43
- E_tot (eV/cell) = -174.49

Cell: 7.7284 7.7284 13.6239 Å, 90.00 90.00 90.00°
Space group I4/mcm (No. 140)
Inequivalent atoms, fractional coordinates:
Ho1 0.0000 0.0000 0.0000 x4
Ho2 0.1567 0.3433 0.1424 x16
Sb1 0.0000 0.0000 0.2500 x4
Pd1 0.1373 0.3627 0.5000 x8



# Ac2IrPd

Crystalline Ac2IrPd at its relaxed geometry (PBE, the Materials Project database).

- crystal system = cubic
- volume (A^3/atom) = 26.52
- E_tot (eV/cell) = -99.10

Cell: 7.5148 7.5148 7.5148 Å, 90.00 90.00 90.00°
Space group Fm-3m (No. 225)
Inequivalent atoms, fractional coordinates:
Ac1 0.2500 0.2500 0.2500 x8
Ir1 0.0000 0.0000 0.0000 x4
Pd1 0.0000 0.0000 0.5000 x4



# NaBrO2

Crystalline NaBrO2 at its relaxed geometry (PBE, the Materials Project database).

- crystal system = tetragonal
- volume (A^3/atom) = 14.15
- size of the total moment (μB per formula unit) = 0.0
- offset from the most stable computed form (meV/atom) = 203
- E_tot (eV/cell) = -14.26

Cell: 4.0822 4.0822 3.3974 Å, 90.00 90.00 90.00°
Space group P4/mmm (No. 123)
Inequivalent atoms, fractional coordinates:
Na1 0.0000 0.0000 0.0000 x1
Br1 0.5000 0.5000 0.5000 x1
O1 0.0000 0.5000 0.5000 x2